Material: Sr2RhO4
Method: DFT, PBE
State: optimized geometry

## Properties
Distance to the lowest polymorph of the same formula, meV/atom: 0
Space-group type: I4_1/acd, No. 142
E_form, eV per atom: -2.366

a = 13.717 Å, b = 13.717 Å, c = 13.717 Å
α = 156.89°, β = 156.89°, γ = 32.91°
Positions (direct):
Sr: 0.825 0.825 0.000
Sr: 0.675 0.675 0.000
Sr: 0.425 0.925 0.500
Sr: 0.575 0.075 0.500
Sr: 0.175 0.175 0.000
Sr: 0.325 0.325 0.000
Sr: 0.925 0.425 0.500
Sr: 0.075 0.575 0.500
Rh: 0.000 0.000 0.000
Rh: 0.250 0.750 0.500
Rh: 0.750 0.250 0.500
Rh: 0.500 0.500 0.000
O: 0.443 0.443 0.387
O: 0.943 0.557 0.000
O: 0.920 0.920 0.000
O: 0.080 0.080 0.000
O: 0.170 0.670 0.500
O: 0.330 0.830 0.500
O: 0.557 0.943 0.000
O: 0.693 0.193 0.887
O: 0.193 0.307 0.500
O: 0.057 0.057 0.613
O: 0.830 0.330 0.500
O: 0.420 0.420 0.000
O: 0.580 0.580 0.000
O: 0.670 0.170 0.500
O: 0.807 0.693 0.500
O: 0.307 0.807 0.113

=====

Material: Sr6Rh5O15
Method: DFT, PBE
State: optimized geometry

## Properties
Distance to the lowest polymorph of the same formula, meV/atom: 0
Space-group type: R32, No. 155
E_form, eV per atom: -2.157

a = 7.174 Å, b = 7.174 Å, c = 7.174 Å
α = 86.13°, β = 86.13°, γ = 86.13°
Positions (direct):
Sr: 0.317 0.683 0.000
Sr: 0.683 0.000 0.317
Sr: 0.000 0.317 0.683
Sr: 0.147 0.853 0.500
Sr: 0.853 0.500 0.147
Sr: 0.500 0.147 0.853
Rh: 0.903 0.903 0.903
Rh: 0.097 0.097 0.097
Rh: 0.707 0.707 0.707
Rh: 0.293 0.293 0.293
Rh: 0.500 0.500 0.500
O: 0.269 0.567 0.344
O: 0.344 0.269 0.567
O: 0.567 0.344 0.269
O: 0.731 0.656 0.433
O: 0.433 0.731 0.656
O: 0.656 0.433 0.731
O: 0.000 0.835 0.165
O: 0.165 0.000 0.835
O: 0.835 0.165 0.000
O: 0.348 0.017 0.211
O: 0.211 0.348 0.017
O: 0.789 0.983 0.652
O: 0.983 0.652 0.789
O: 0.652 0.789 0.983
O: 0.017 0.211 0.348

=====

Material: Sr3Rh2O7
Method: DFT, PBE
State: optimized geometry

## Properties
Space-group type: Ccce, No. 68
E_form, eV per atom: -2.214

a = 10.987 Å, b = 10.987 Å, c = 5.541 Å
α = 90.00°, β = 90.00°, γ = 150.79°
Positions (direct):
Sr: 0.187 0.813 0.500
Sr: 0.813 0.187 0.500
Sr: 0.000 0.000 0.500
Sr: 0.687 0.313 0.000
Sr: 0.313 0.687 0.000
Sr: 0.500 0.500 0.000
Rh: 0.097 0.903 0.000
Rh: 0.597 0.403 0.500
Rh: 0.903 0.097 0.000
Rh: 0.403 0.597 0.500
O: 0.194 0.806 0.000
O: 0.594 0.788 0.191
O: 0.288 0.094 0.691
O: 0.712 0.906 0.691
O: 0.406 0.212 0.191
O: 0.000 0.000 0.000
O: 0.694 0.306 0.500
O: 0.806 0.194 0.000
O: 0.094 0.288 0.309
O: 0.788 0.594 0.809
O: 0.212 0.406 0.809
O: 0.906 0.712 0.309
O: 0.306 0.694 0.500
O: 0.500 0.500 0.500

=====

Material: SrRhO3
Method: DFT, PBE
State: optimized geometry

## Properties
Magnetization, μB/atom: 0.20
Space-group type: I4/mcm, No. 140
E_form, eV per atom: -1.992

a = 5.663 Å, b = 5.663 Å, c = 5.663 Å
α = 120.94°, β = 120.94°, γ = 88.37°
Positions (direct):
Sr: 0.750 0.250 0.500
Sr: 0.250 0.750 0.500
Rh: 0.000 0.000 0.000
Rh: 0.500 0.500 0.000
O: 0.688 0.188 0.876
O: 0.312 0.812 0.124
O: 0.188 0.312 0.500
O: 0.812 0.688 0.500
O: 0.250 0.250 0.000
O: 0.750 0.750 0.000

=====

Material: Sr6Rh5O15
Method: DFT, PBE
State: optimized geometry

## Properties
Distance to the lowest polymorph of the same formula, meV/atom: 0
Magnetization, μB/atom: 0.02
Space-group type: R32, No. 155
E_form, eV per atom: -2.157

a = 12.117 Å, b = 12.117 Å, c = 12.117 Å
α = 107.31°, β = 107.31°, γ = 107.31°
Positions (direct):
Sr: 0.000 0.657 0.343
Sr: 0.676 0.003 0.824
Sr: 0.000 0.158 0.842
Sr: 0.824 0.676 0.003
Sr: 0.176 0.500 0.824
Sr: 0.659 0.835 0.499
Sr: 0.501 0.165 0.341
Sr: 0.842 0.000 0.158
Sr: 0.165 0.341 0.501
Sr: 0.824 0.176 0.500
Sr: 0.500 0.323 0.677
Sr: 0.176 0.997 0.324
Sr: 0.324 0.176 0.997
Sr: 0.657 0.343 0.000
Sr: 0.500 0.824 0.176
Sr: 0.835 0.499 0.659
Sr: 0.997 0.324 0.176
Sr: 0.341 0.501 0.165
Sr: 0.499 0.659 0.835
Sr: 0.158 0.842 0.000
Sr: 0.343 0.000 0.657
Sr: 0.323 0.677 0.500
Sr: 0.003 0.824 0.676
Sr: 0.677 0.500 0.323
Rh: 0.402 0.404 0.904
Rh: 0.096 0.596 0.598
Rh: 0.293 0.293 0.293
Rh: 0.706 0.207 0.207
Rh: 0.000 0.000 0.500
Rh: 0.904 0.402 0.404
Rh: 0.207 0.706 0.207
Rh: 0.793 0.793 0.294
Rh: 0.207 0.207 0.706
Rh: 0.294 0.793 0.793
Rh: 0.404 0.904 0.402
Rh: 0.707 0.707 0.707
Rh: 0.000 0.500 0.000
Rh: 0.500 0.000 0.000
Rh: 0.096 0.096 0.096
Rh: 0.598 0.096 0.596
Rh: 0.904 0.904 0.904
Rh: 0.500 0.500 0.500
Rh: 0.596 0.598 0.096
Rh: 0.793 0.294 0.793
O: 0.456 0.921 0.808
O: 0.780 0.616 0.183
O: 0.318 0.387 0.723
O: 0.955 0.920 0.308
O: 0.272 0.107 0.197
O: 0.080 0.045 0.692
O: 0.086 0.499 0.420
O: 0.684 0.781 0.118
O: 0.808 0.456 0.921
O: 0.192 0.578 0.045
O: 0.882 0.219 0.316
O: 0.781 0.118 0.684
O: 0.384 0.220 0.817
O: 0.723 0.318 0.387
O: 0.520 0.669 0.631
O: 0.308 0.955 0.920
O: 0.817 0.384 0.220
O: 0.079 0.544 0.192
O: 0.920 0.308 0.955
O: 0.000 0.917 0.083
O: 0.501 0.914 0.580
O: 0.083 0.000 0.917
O: 0.420 0.086 0.499
O: 0.331 0.480 0.369
O: 0.616 0.183 0.780
O: 0.544 0.192 0.079
O: 0.917 0.083 0.000
O: 0.197 0.272 0.107
O: 0.580 0.501 0.914
O: 0.219 0.316 0.882
O: 0.417 0.583 0.000
O: 0.422 0.808 0.955
O: 0.107 0.197 0.272
O: 0.578 0.045 0.192
O: 0.118 0.684 0.781
O: 0.192 0.079 0.544
O: 0.692 0.080 0.045
O: 0.583 0.000 0.417
O: 0.045 0.692 0.080
O: 0.728 0.803 0.893
O: 0.316 0.882 0.219
O: 0.369 0.331 0.480
O: 0.803 0.893 0.728
O: 0.613 0.682 0.277
O: 0.631 0.520 0.669
O: 0.921 0.808 0.456
O: 0.277 0.613 0.682
O: 0.499 0.420 0.086
O: 0.480 0.369 0.331
O: 0.682 0.277 0.613
O: 0.893 0.728 0.803
O: 0.914 0.580 0.501
O: 0.669 0.631 0.520
O: 0.000 0.417 0.583
O: 0.387 0.723 0.318
O: 0.955 0.422 0.808
O: 0.045 0.192 0.578
O: 0.183 0.780 0.616
O: 0.220 0.817 0.384
O: 0.808 0.955 0.422

=====

Material: Sr3Rh16O32
Method: DFT, PBE
State: optimized geometry

## Properties
Magnetization, μB/atom: 0.00
Space-group type: P1, No. 1
E_form, eV per atom: -1.473

a = 8.201 Å, b = 8.753 Å, c = 9.869 Å
α = 66.91°, β = 72.38°, γ = 77.30°
Positions (direct):
Sr: 0.984 0.984 0.016
Sr: 0.672 0.672 0.327
Sr: 0.305 0.304 0.696
Rh: 0.944 0.220 0.246
Rh: 0.880 0.200 0.621
Rh: 0.371 0.050 0.129
Rh: 0.806 0.531 0.005
Rh: 0.555 0.281 0.255
Rh: 0.306 0.030 0.505
Rh: 0.622 0.299 0.881
Rh: 0.870 0.548 0.632
Rh: 0.130 0.451 0.369
Rh: 0.378 0.701 0.119
Rh: 0.193 0.470 0.996
Rh: 0.694 0.970 0.495
Rh: 0.444 0.718 0.745
Rh: 0.628 0.949 0.871
Rh: 0.120 0.799 0.381
Rh: 0.056 0.780 0.754
O: 0.869 0.110 0.471
O: 0.757 0.087 0.261
O: 0.633 0.051 0.025
O: 0.883 0.299 0.776
O: 0.620 0.196 0.728
O: 0.872 0.446 0.478
O: 0.493 0.162 0.489
O: 0.745 0.414 0.238
O: 0.381 0.139 0.279
O: 0.632 0.388 0.031
O: 0.113 0.028 0.212
O: 0.994 0.666 0.988
O: 0.880 0.639 0.781
O: 0.364 0.279 0.961
O: 0.862 0.776 0.462
O: 0.615 0.527 0.715
O: 0.137 0.223 0.538
O: 0.635 0.721 0.041
O: 0.385 0.473 0.285
O: 0.119 0.361 0.220
O: 0.005 0.336 0.013
O: 0.886 0.972 0.788
O: 0.618 0.860 0.720
O: 0.368 0.612 0.969
O: 0.254 0.584 0.763
O: 0.506 0.837 0.511
O: 0.128 0.552 0.524
O: 0.377 0.804 0.272
O: 0.116 0.700 0.224
O: 0.367 0.949 0.976
O: 0.245 0.912 0.738
O: 0.130 0.889 0.530

=====

Material: SrRhO3
Method: DFT, PBE
State: optimized geometry

## Properties
Space-group type: Imma, No. 74
E_form, eV per atom: -2.005

a = 5.637 Å, b = 5.637 Å, c = 5.637 Å
α = 120.62°, β = 119.09°, γ = 90.25°
Positions (direct):
Sr: 0.258 0.750 0.508
Sr: 0.742 0.250 0.492
Rh: 0.500 0.500 0.000
Rh: 0.000 0.000 0.000
O: 0.300 0.300 0.500
O: 0.700 0.700 0.500
O: 0.700 0.200 0.000
O: 0.300 0.800 0.000
O: 0.835 0.750 0.085
O: 0.165 0.250 0.915

=====

Material: Sr3TbRhO6
Method: DFT, PBE
State: optimized geometry

## Properties
Space-group type: R-3c, No. 167
E_form, eV per atom: -2.921

a = 6.868 Å, b = 6.868 Å, c = 6.868 Å
α = 92.09°, β = 92.09°, γ = 92.09°
Positions (direct):
Sr: 0.881 0.619 0.250
Sr: 0.619 0.250 0.881
Sr: 0.250 0.881 0.619
Sr: 0.119 0.381 0.750
Sr: 0.750 0.119 0.381
Sr: 0.381 0.750 0.119
Tb: 0.750 0.750 0.750
Tb: 0.250 0.250 0.250
Rh: 0.500 0.500 0.500
Rh: 0.000 0.000 0.000
O: 0.590 0.792 0.455
O: 0.455 0.590 0.792
O: 0.792 0.455 0.590
O: 0.910 0.045 0.708
O: 0.708 0.910 0.045
O: 0.045 0.708 0.910
O: 0.410 0.208 0.545
O: 0.545 0.410 0.208
O: 0.208 0.545 0.410
O: 0.090 0.955 0.292
O: 0.955 0.292 0.090
O: 0.292 0.090 0.955

=====

Material: Sr3ZnRhO6
Method: DFT, PBE
State: optimized geometry

## Properties
Magnetization, μB/atom: 0.09
Space-group type: R-3c, No. 167
E_form, eV per atom: -2.407

a = 6.746 Å, b = 6.746 Å, c = 6.746 Å
α = 91.93°, β = 91.93°, γ = 91.93°
Positions (direct):
Sr: 0.614 0.250 0.886
Sr: 0.886 0.614 0.250
Sr: 0.750 0.114 0.386
Sr: 0.386 0.750 0.114
Sr: 0.114 0.386 0.750
Sr: 0.250 0.886 0.614
Zn: 0.250 0.250 0.250
Zn: 0.750 0.750 0.750
Rh: 0.000 0.000 0.000
Rh: 0.500 0.500 0.500
O: 0.592 0.786 0.459
O: 0.459 0.592 0.786
O: 0.786 0.459 0.592
O: 0.908 0.041 0.714
O: 0.714 0.908 0.041
O: 0.041 0.714 0.908
O: 0.408 0.214 0.541
O: 0.541 0.408 0.214
O: 0.214 0.541 0.408
O: 0.092 0.959 0.286
O: 0.959 0.286 0.092
O: 0.286 0.092 0.959

=====

Material: TaRhO4
Method: DFT, PBE
State: optimized geometry

## Properties
Magnetization, μB/atom: 0.00
Space-group type: Cmmm, No. 65
E_form, eV per atom: -2.341

a = 4.697 Å, b = 4.697 Å, c = 3.144 Å
α = 90.00°, β = 90.00°, γ = 90.62°
Positions (direct):
Ta: 0.000 0.000 0.000
Rh: 0.500 0.500 0.500
O: 0.191 0.809 0.500
O: 0.809 0.191 0.500
O: 0.301 0.301 0.000
O: 0.699 0.699 0.000

=====

Material: TeRh2O6
Method: DFT, PBE
State: optimized geometry

## Properties
Magnetization, μB/atom: 0.00
Space-group type: P4_2/mnm, No. 136
E_form, eV per atom: -1.268

a = 4.681 Å, b = 4.681 Å, c = 9.553 Å
α = 90.00°, β = 90.00°, γ = 90.00°
Positions (direct):
Te: 0.000 0.000 0.000
Te: 0.500 0.500 0.500
Rh: 0.000 0.000 0.332
Rh: 0.000 0.000 0.668
Rh: 0.500 0.500 0.832
Rh: 0.500 0.500 0.168
O: 0.310 0.310 0.000
O: 0.690 0.690 0.000
O: 0.190 0.810 0.500
O: 0.810 0.190 0.500
O: 0.305 0.305 0.333
O: 0.695 0.695 0.667
O: 0.695 0.695 0.333
O: 0.195 0.805 0.833
O: 0.195 0.805 0.167
O: 0.305 0.305 0.667
O: 0.805 0.195 0.167
O: 0.805 0.195 0.833

=====

Material: RuO4
Method: DFT, PBE
State: optimized geometry

## Properties
Space-group type: C2/c, No. 15
E_form, eV per atom: -1.181

a = 5.432 Å, b = 5.432 Å, c = 8.968 Å
α = 66.06°, β = 66.06°, γ = 51.01°
Positions (direct):
Ru: 0.242 0.758 0.250
Ru: 0.758 0.242 0.750
O: 0.142 0.082 0.084
O: 0.660 0.567 0.804
O: 0.918 0.858 0.416
O: 0.340 0.433 0.196
O: 0.433 0.340 0.696
O: 0.082 0.142 0.584
O: 0.567 0.660 0.304
O: 0.858 0.918 0.916